No. 1
! Li6Zn3P4S16 (GGA-PBE, relaxed); values from VASP
! - E_form (eV per atom) = -1.002
! - space group = P1
! - calculated volume (Å³/cell) = 2498
&SYSTEM
  ibrav = 0, nat = 116, ntyp = 4
/
ATOMIC_SPECIES
Li 6.94 Li.upf
Zn 65.41 Zn.upf
P 30.97 P.upf
S 32.06 S.upf
ATOMIC_POSITIONS crystal
Li 0.0000 0.0000 0.0000
Li 0.9996 0.0040 0.2474
Li 0.0000 0.5009 0.9993
Li 0.2380 0.5066 0.6260
Li 0.2451 0.0010 0.6215
Li 0.4904 0.2516 0.6234
Li 0.4903 0.5055 0.7492
Li 0.4922 0.2520 0.3706
Li 0.4927 0.2537 0.8763
Li 0.4951 0.9999 0.7497
Li 0.4972 0.2523 0.1234
Li 0.4968 0.7526 0.1236
Li 0.4976 0.0004 0.4992
Li 0.4985 0.7502 0.8730
Li 0.5001 0.7551 0.3741
Li 0.5039 0.7520 0.6241
Li 0.7404 0.2564 0.7463
Li 0.7468 0.2478 0.5023
Li 0.9790 0.7521 0.6237
Li 0.9907 0.5043 0.7496
Li 0.9924 0.5053 0.4977
Li 0.9966 0.2509 0.6235
Li 0.9974 0.5031 0.2485
Li 0.9989 0.0014 0.4958
Zn 0.9996 0.7503 0.8738
Zn 0.0008 0.2532 0.3726
Zn 0.4954 0.0027 0.2490
Zn 0.4948 0.5019 0.2478
Zn 0.4948 0.5052 0.4984
Zn 0.4955 0.5019 0.9983
Zn 0.4968 0.0017 0.9983
Zn 0.9932 0.0010 0.7497
Zn 0.9941 0.2524 0.1236
Zn 0.9951 0.7521 0.1238
Zn 0.9963 0.7533 0.3739
Zn 0.9980 0.2522 0.8747
P 0.2450 0.7465 0.5013
P 0.2453 0.7581 0.7506
P 0.2463 0.2498 0.4965
P 0.2465 0.2515 0.9988
P 0.2459 0.2528 0.2480
P 0.2458 0.2541 0.7464
P 0.2461 0.7525 0.2487
P 0.2465 0.7518 0.9984
P 0.7438 0.5063 0.8742
P 0.7444 0.9992 0.3730
P 0.7454 0.0021 0.1235
P 0.7452 0.0022 0.6241
P 0.7446 0.4934 0.6229
P 0.7456 0.5025 0.1235
P 0.7481 0.0117 0.8739
P 0.7478 0.5013 0.3732
S 0.1198 0.3587 0.6956
S 0.1196 0.8629 0.6957
S 0.1212 0.6445 0.5537
S 0.1231 0.6497 0.8017
S 0.1250 0.1450 0.8018
S 0.1248 0.3572 0.4443
S 0.1268 0.1472 0.5508
S 0.1303 0.3566 0.1924
S 0.1312 0.1483 0.0547
S 0.1319 0.6482 0.3044
S 0.1316 0.8515 0.4449
S 0.1323 0.8565 0.1924
S 0.1321 0.8566 0.9428
S 0.1327 0.6483 0.0547
S 0.1338 0.1477 0.3040
S 0.1351 0.3568 0.9424
S 0.3574 0.6513 0.6957
S 0.3578 0.3655 0.3002
S 0.3588 0.1389 0.9466
S 0.3604 0.3632 0.0509
S 0.3601 0.6403 0.9461
S 0.3599 0.8638 0.3009
S 0.3608 0.1414 0.1960
S 0.3607 0.1427 0.6950
S 0.3614 0.3638 0.5503
S 0.3606 0.6413 0.1962
S 0.3608 0.8605 0.8030
S 0.3617 0.8633 0.0503
S 0.3633 0.3532 0.8002
S 0.3634 0.6421 0.4464
S 0.3643 0.8556 0.5521
S 0.3714 0.1490 0.4465
S 0.6183 0.3928 0.6762
S 0.6251 0.6017 0.5698
S 0.6262 0.1116 0.5721
S 0.6262 0.9000 0.6762
S 0.6266 0.3964 0.4284
S 0.6284 0.1129 0.8201
S 0.6290 0.6038 0.3185
S 0.6306 0.6064 0.0679
S 0.6308 0.8984 0.1793
S 0.6317 0.1064 0.0674
S 0.6320 0.3976 0.1794
S 0.6341 0.1067 0.3169
S 0.6343 0.3985 0.9302
S 0.6346 0.6074 0.8190
S 0.6353 0.8977 0.4280
S 0.6349 0.9022 0.9273
S 0.8579 0.6137 0.4254
S 0.8593 0.1138 0.1756
S 0.8595 0.6138 0.1759
S 0.8593 0.8901 0.0713
S 0.8598 0.3910 0.0712
S 0.8607 0.3898 0.3209
S 0.8612 0.5996 0.6739
S 0.8608 0.8954 0.8209
S 0.8648 0.1143 0.4245
S 0.8646 0.3913 0.8225
S 0.8664 0.1108 0.6802
S 0.8662 0.3902 0.5689
S 0.8679 0.1145 0.9278
S 0.8676 0.6110 0.9265
S 0.8698 0.8954 0.3209
S 0.8718 0.9058 0.5721
CELL_PARAMETERS angstrom
9.3177 0.0000 0.0000
0.0172 11.5948 0.0000
0.0101 0.0102 23.1248


No. 2
! Ca5Si4Au6 (GGA-PBE, relaxed); values from VASP
! - E_form (eV per atom) = -0.690
! - space group = Cm
! - calculated volume (Å³/cell) = 631
&SYSTEM
  ibrav = 0, nat = 30, ntyp = 3
/
ATOMIC_SPECIES
Ca 40.08 Ca.upf
Si 28.09 Si.upf
Au 196.97 Au.upf
ATOMIC_POSITIONS crystal
Ca 0.0000 0.0000 0.0000
Ca 0.0454 0.0454 0.5168
Ca 0.1982 0.1982 0.4020
Ca 0.2495 0.2495 0.9221
Ca 0.3964 0.3964 0.7971
Ca 0.4429 0.4429 0.3175
Ca 0.5983 0.5983 0.2031
Ca 0.6462 0.6462 0.7187
Ca 0.7964 0.7964 0.6000
Ca 0.8478 0.8478 0.1203
Si 0.0868 0.0868 0.6340
Si 0.1486 0.1486 0.1134
Si 0.2934 0.2934 0.0449
Si 0.3491 0.3491 0.5104
Si 0.4907 0.4907 0.4399
Si 0.6852 0.6852 0.8379
Si 0.7480 0.7480 0.3115
Si 0.8903 0.8903 0.2412
Au 0.1140 0.1140 0.8080
Au 0.1297 0.1297 0.2873
Au 0.3074 0.3074 0.1994
Au 0.3094 0.3094 0.6788
Au 0.5042 0.5042 0.5967
Au 0.5312 0.5312 0.0886
Au 0.5522 0.5522 0.9151
Au 0.7190 0.7190 0.0079
Au 0.7313 0.7313 0.4847
Au 0.9075 0.9075 0.3980
Au 0.9076 0.9076 0.8798
Au 0.9527 0.9527 0.7117
CELL_PARAMETERS angstrom
5.3172 -2.2409 0.0000
5.3172 2.2409 0.0000
-3.3769 0.0000 26.4877


No. 3
! TaRu (GGA-PBE, relaxed); values from VASP
! - E_form (eV per atom) = -0.286
! - space group = Pm-3m
! - calculated volume (Å³/cell) = 32
&SYSTEM
  ibrav = 0, nat = 2, ntyp = 2
/
ATOMIC_SPECIES
Ta 180.95 Ta.upf
Ru 101.07 Ru.upf
ATOMIC_POSITIONS crystal
Ta 0.0000 0.0000 0.0000
Ru 0.5000 0.5000 0.5000
CELL_PARAMETERS angstrom
3.1788 0.0000 0.0000
0.0000 3.1788 0.0000
0.0000 0.0000 3.1788


No. 4
! K3As7 (GGA-PBE, relaxed); values from VASP
! - E_form (eV per atom) = -0.359
! - space group = Pbca
! - calculated volume (Å³/cell) = 5319
&SYSTEM
  ibrav = 0, nat = 160, ntyp = 2
/
ATOMIC_SPECIES
K 39.10 K.upf
As 74.92 As.upf
ATOMIC_POSITIONS crystal
K 0.0424 0.1793 0.0395
K 0.0424 0.3207 0.5395
K 0.0457 0.5595 0.6428
K 0.0457 0.9405 0.1428
K 0.1156 0.5770 0.0861
K 0.1156 0.9230 0.5861
K 0.1302 0.1292 0.6051
K 0.1302 0.3708 0.1051
K 0.1327 0.0804 0.2460
K 0.1327 0.4196 0.7460
K 0.2208 0.7204 0.8340
K 0.2208 0.7796 0.3340
K 0.2792 0.2204 0.8340
K 0.2792 0.2796 0.3340
K 0.3673 0.5804 0.2460
K 0.3673 0.9196 0.7460
K 0.3698 0.6292 0.6051
K 0.3698 0.8708 0.1051
K 0.3844 0.0770 0.0861
K 0.3844 0.4230 0.5861
K 0.4543 0.0595 0.6428
K 0.4543 0.4405 0.1428
K 0.4576 0.6793 0.0395
K 0.4576 0.8207 0.5395
K 0.5424 0.1793 0.4605
K 0.5424 0.3207 0.9605
K 0.5457 0.5595 0.8572
K 0.5457 0.9405 0.3572
K 0.6156 0.5770 0.4139
K 0.6156 0.9230 0.9139
K 0.6302 0.1292 0.8949
K 0.6302 0.3708 0.3949
K 0.6327 0.0804 0.2540
K 0.6327 0.4196 0.7540
K 0.7208 0.7204 0.6660
K 0.7208 0.7796 0.1660
K 0.7792 0.2204 0.6660
K 0.7792 0.2796 0.1660
K 0.8673 0.5804 0.2540
K 0.8673 0.9196 0.7540
K 0.8698 0.6292 0.8949
K 0.8698 0.8708 0.3949
K 0.8844 0.0770 0.4139
K 0.8844 0.4230 0.9139
K 0.9543 0.0595 0.8572
K 0.9543 0.4405 0.3572
K 0.9576 0.6793 0.4605
K 0.9576 0.8207 0.9605
As 0.0113 0.2240 0.7905
As 0.0113 0.2760 0.2905
As 0.0506 0.6999 0.9982
As 0.0506 0.8001 0.4982
As 0.0534 0.6850 0.2452
As 0.0534 0.8150 0.7452
As 0.0637 0.1984 0.3845
As 0.0637 0.3016 0.8845
As 0.1221 0.5478 0.8604
As 0.1221 0.9522 0.3604
As 0.1242 0.6848 0.6318
As 0.1242 0.8152 0.1318
As 0.1308 0.5339 0.3052
As 0.1308 0.9661 0.8052
As 0.1316 0.0281 0.4457
As 0.1316 0.4719 0.9457
As 0.1374 0.0469 0.0100
As 0.1374 0.4531 0.5100
As 0.1838 0.5399 0.4549
As 0.1838 0.9601 0.9549
As 0.2017 0.7391 0.0650
As 0.2017 0.7609 0.5650
As 0.2141 0.0446 0.7684
As 0.2141 0.4554 0.2684
As 0.2194 0.0985 0.9054
As 0.2194 0.4015 0.4054
As 0.2218 0.6834 0.1896
As 0.2218 0.8166 0.6896
As 0.2782 0.1834 0.1896
As 0.2782 0.3166 0.6896
As 0.2806 0.5985 0.9054
As 0.2806 0.9015 0.4054
As 0.2859 0.5446 0.7684
As 0.2859 0.9554 0.2684
As 0.2983 0.2391 0.0650
As 0.2983 0.2609 0.5650
As 0.3162 0.0399 0.4549
As 0.3162 0.4601 0.9549
As 0.3626 0.5469 0.0100
As 0.3626 0.9531 0.5100
As 0.3684 0.5281 0.4457
As 0.3684 0.9719 0.9457
As 0.3692 0.0339 0.3052
As 0.3692 0.4661 0.8052
As 0.3758 0.1848 0.6318
As 0.3758 0.3152 0.1318
As 0.3779 0.0478 0.8604
As 0.3779 0.4522 0.3604
As 0.4363 0.6984 0.3845
As 0.4363 0.8016 0.8845
As 0.4466 0.1850 0.2452
As 0.4466 0.3150 0.7452
As 0.4494 0.1999 0.9982
As 0.4494 0.3001 0.4982
As 0.4887 0.7240 0.7905
As 0.4887 0.7760 0.2905
As 0.5113 0.2240 0.7095
As 0.5113 0.2760 0.2095
As 0.5506 0.6999 0.5018
As 0.5506 0.8001 0.0018
As 0.5534 0.6850 0.2548
As 0.5534 0.8150 0.7548
As 0.5637 0.1984 0.1155
As 0.5637 0.3016 0.6155
As 0.6221 0.5478 0.6396
As 0.6221 0.9522 0.1396
As 0.6242 0.6848 0.8682
As 0.6242 0.8152 0.3682
As 0.6308 0.5339 0.1948
As 0.6308 0.9661 0.6948
As 0.6316 0.0281 0.0543
As 0.6316 0.4719 0.5543
As 0.6374 0.0469 0.4900
As 0.6374 0.4531 0.9900
As 0.6838 0.5399 0.0451
As 0.6838 0.9601 0.5451
As 0.7017 0.7391 0.4350
As 0.7017 0.7609 0.9350
As 0.7141 0.0446 0.7316
As 0.7141 0.4554 0.2316
As 0.7194 0.0985 0.5946
As 0.7194 0.4015 0.0946
As 0.7218 0.6834 0.3104
As 0.7218 0.8166 0.8104
As 0.7782 0.1834 0.3104
As 0.7782 0.3166 0.8104
As 0.7806 0.5985 0.5946
As 0.7806 0.9015 0.0946
As 0.7859 0.5446 0.7316
As 0.7859 0.9554 0.2316
As 0.7983 0.2391 0.4350
As 0.7983 0.2609 0.9350
As 0.8162 0.0399 0.0451
As 0.8162 0.4601 0.5451
As 0.8626 0.5469 0.4900
As 0.8626 0.9531 0.9900
As 0.8684 0.5281 0.0543
As 0.8684 0.9719 0.5543
As 0.8692 0.0339 0.1948
As 0.8692 0.4661 0.6948
As 0.8758 0.1848 0.8682
As 0.8758 0.3152 0.3682
As 0.8779 0.0478 0.6396
As 0.8779 0.4522 0.1396
As 0.9363 0.6984 0.1155
As 0.9363 0.8016 0.6155
As 0.9466 0.1850 0.2548
As 0.9466 0.3150 0.7548
As 0.9494 0.1999 0.5018
As 0.9494 0.3001 0.0018
As 0.9887 0.7240 0.7095
As 0.9887 0.7760 0.2095
CELL_PARAMETERS angstrom
13.1179 0.0000 0.0000
0.0000 25.9090 0.0000
0.0000 0.0000 15.6513


No. 5
! ZrZnCu2 (GGA-PBE, relaxed); values from VASP
! - E_form (eV per atom) = -0.105
! - space group = P4/mmm
! - calculated volume (Å³/cell) = 62
&SYSTEM
  ibrav = 0, nat = 4, ntyp = 3
/
ATOMIC_SPECIES
Zr 91.22 Zr.upf
Zn 65.41 Zn.upf
Cu 63.55 Cu.upf
ATOMIC_POSITIONS crystal
Zr 0.0000 0.0000 0.0000
Zn 0.0000 0.0000 0.5000
Cu 0.5000 0.5000 0.2852
Cu 0.5000 0.5000 0.7148
CELL_PARAMETERS angstrom
3.0623 0.0000 0.0000
0.0000 3.0623 0.0000
0.0000 0.0000 6.6283


No. 6
! RbMg14SbO16 (GGA-PBE, relaxed); values from VASP
! - E_form (eV per atom) = -2.637
! - space group = P4/mmm
! - calculated volume (Å³/cell) = 350
&SYSTEM
  ibrav = 0, nat = 32, ntyp = 4
/
ATOMIC_SPECIES
Rb 85.47 Rb.upf
Mg 24.30 Mg.upf
Sb 121.76 Sb.upf
O 16.00 O.upf
ATOMIC_POSITIONS crystal
Rb 0.0000 0.0000 0.0000
Mg 0.0000 0.2517 0.5000
Mg 0.0000 0.5000 0.0000
Mg 0.0000 0.7483 0.5000
Mg 0.2369 0.5000 0.5000
Mg 0.2441 0.2441 0.0000
Mg 0.2441 0.7559 0.0000
Mg 0.2517 0.0000 0.5000
Mg 0.5000 0.0000 0.0000
Mg 0.5000 0.2369 0.5000
Mg 0.5000 0.7631 0.5000
Mg 0.7483 0.0000 0.5000
Mg 0.7559 0.2441 0.0000
Mg 0.7559 0.7559 0.0000
Mg 0.7631 0.5000 0.5000
Sb 0.5000 0.5000 0.0000
O 0.0000 0.0000 0.5000
O 0.0000 0.2800 0.0000
O 0.0000 0.5000 0.5000
O 0.0000 0.7200 0.0000
O 0.2430 0.5000 0.0000
O 0.2523 0.2523 0.5000
O 0.2523 0.7477 0.5000
O 0.2800 0.0000 0.0000
O 0.5000 0.0000 0.5000
O 0.5000 0.2430 0.0000
O 0.5000 0.5000 0.5000
O 0.5000 0.7570 0.0000
O 0.7200 0.0000 0.0000
O 0.7477 0.2523 0.5000
O 0.7477 0.7477 0.5000
O 0.7570 0.5000 0.0000
CELL_PARAMETERS angstrom
8.7793 0.0000 0.0000
0.0000 8.7793 0.0000
0.0000 0.0000 4.5366


No. 7
! LaU3C8 (GGA-PBE, relaxed); values from VASP
! - E_form (eV per atom) = 0.163
! - space group = R-3
! - calculated volume (Å³/cell) = 169
&SYSTEM
  ibrav = 0, nat = 12, ntyp = 3
/
ATOMIC_SPECIES
La 138.91 La.upf
U 238.03 U.upf
C 12.01 C.upf
ATOMIC_POSITIONS crystal
La 0.0000 0.0000 0.0000
U 0.0000 0.5000 0.5000
U 0.5000 0.0000 0.5000
U 0.5000 0.5000 0.0000
C 0.0792 0.9068 0.5151
C 0.0932 0.4849 0.9208
C 0.4233 0.4233 0.4233
C 0.4849 0.9208 0.0932
C 0.5151 0.0792 0.9068
C 0.5767 0.5767 0.5767
C 0.9068 0.5151 0.0792
C 0.9208 0.0932 0.4849
CELL_PARAMETERS angstrom
3.9444 2.2773 3.1285
-3.9444 2.2773 3.1285
0.0000 -4.5546 3.1285


No. 8
! SrEuTi4O12 (GGA-PBE, relaxed); values from VASP
! - E_form (eV per atom) = -3.048
! - space group = P4/mmm
! - calculated volume (Å³/cell) = 232
&SYSTEM
  ibrav = 0, nat = 18, ntyp = 4
/
ATOMIC_SPECIES
Sr 87.62 Sr.upf
Eu 151.96 Eu.upf
Ti 47.87 Ti.upf
O 16.00 O.upf
ATOMIC_POSITIONS crystal
Sr 0.0000 0.0000 0.0000
Eu 0.5000 0.5000 0.5000
Ti 0.0000 0.5000 0.2498
Ti 0.0000 0.5000 0.7502
Ti 0.5000 0.0000 0.2498
Ti 0.5000 0.0000 0.7502
O 0.0000 0.5000 0.0000
O 0.0000 0.5000 0.5000
O 0.2503 0.2503 0.2503
O 0.2503 0.2503 0.7497
O 0.2503 0.7497 0.2503
O 0.2503 0.7497 0.7497
O 0.5000 0.0000 0.0000
O 0.5000 0.0000 0.5000
O 0.7497 0.2503 0.2503
O 0.7497 0.2503 0.7497
O 0.7497 0.7497 0.2503
O 0.7497 0.7497 0.7497
CELL_PARAMETERS angstrom
5.4754 0.0000 0.0000
0.0000 5.4754 0.0000
0.0000 0.0000 7.7531


No. 9
! Pa2SbTe (GGA-PBE, relaxed); values from VASP
! - E_form (eV per atom) = -0.643
! - space group = Fm-3m
! - calculated volume (Å³/cell) = 103
&SYSTEM
  ibrav = 0, nat = 4, ntyp = 3
/
ATOMIC_SPECIES
Pa 231.04 Pa.upf
Sb 121.76 Sb.upf
Te 127.60 Te.upf
ATOMIC_POSITIONS crystal
Pa 0.2500 0.2500 0.2500
Pa 0.7500 0.7500 0.7500
Sb 0.0000 0.0000 0.0000
Te 0.5000 0.5000 0.5000
CELL_PARAMETERS angstrom
0.0000 3.7188 3.7188
3.7188 0.0000 3.7188
3.7188 3.7188 0.0000